No. 1
The following is a DFT calculation (GGA-PBE) of a relaxed AlTlI4 crystal.

Calculated values
Space-group type: P2_1/c (14)
Total DFT energy (no corrections) in eV per atom: -2.75
Crystal system: monoclinic
Calculated formation energy in eV/atom: -0.973

Cell: 8.475 8.130 16.542 Å, 90.00 95.52 90.00°
Positions (direct):
Al 0.245 0.143 0.140
Al 0.245 0.357 0.640
Al 0.755 0.643 0.360
Al 0.755 0.857 0.860
Tl 0.254 0.001 0.863
Tl 0.254 0.499 0.363
Tl 0.746 0.501 0.637
Tl 0.746 0.999 0.137
I 0.020 0.155 0.660
I 0.020 0.345 0.160
I 0.141 0.639 0.591
I 0.141 0.861 0.091
I 0.417 0.112 0.275
I 0.417 0.241 0.533
I 0.417 0.259 0.033
I 0.417 0.388 0.775
I 0.583 0.612 0.225
I 0.583 0.741 0.967
I 0.583 0.759 0.467
I 0.583 0.888 0.725
I 0.859 0.139 0.909
I 0.859 0.361 0.409
I 0.980 0.655 0.840
I 0.980 0.845 0.340

No. 2
The following is a DFT calculation (GGA-PBE) of a relaxed KIO3 crystal.

Calculated values
Space-group type: P1 (1)
Total DFT energy (no corrections) in eV per atom: -4.45
Crystal system: triclinic
Calculated formation energy in eV/atom: -1.371

Cell: 7.788 7.791 7.792 Å, 108.93 108.89 108.79°
Positions (direct):
K 0.000 0.000 0.000
K 0.003 0.495 0.516
K 0.485 0.501 0.020
K 0.505 0.982 0.513
I 0.015 0.001 0.511
I 0.507 0.005 0.019
I 0.508 0.493 0.525
I 0.997 0.510 0.019
O 0.024 0.203 0.723
O 0.160 0.705 0.976
O 0.171 0.161 0.434
O 0.200 0.513 0.226
O 0.206 0.945 0.663
O 0.462 0.207 0.167
O 0.467 0.650 0.727
O 0.665 0.974 0.229
O 0.674 0.414 0.671
O 0.703 0.701 0.522
O 0.710 0.158 0.978
O 0.912 0.663 0.173

No. 3
The following is a DFT calculation (GGA-PBE) of a relaxed ZnCuF4 crystal.

Calculated values
Space-group type: P1 (1)
Total DFT energy (no corrections) in eV per atom: -3.99
Total magnetization in μB/atom: 0.17
Crystal system: triclinic
Calculated formation energy in eV/atom: -2.127

Cell: 5.145 5.183 6.221 Å, 65.62 65.59 89.98°
Positions (direct):
Zn 0.000 0.000 0.000
Zn 0.497 0.502 0.001
Cu 0.245 0.746 0.499
Cu 0.749 0.245 0.501
F 0.072 0.562 0.234
F 0.188 0.064 0.232
F 0.304 0.431 0.766
F 0.426 0.928 0.773
F 0.572 0.699 0.229
F 0.690 0.195 0.234
F 0.802 0.299 0.769
F 0.929 0.801 0.768